No. 1
Below is a geometry-optimized K2TiHF7 structure, with properties calculated at the PBE-GGA level.

abc: 6.189 6.173 9.186
angles: 90.00 99.97 90.00
Positions (direct):
F1 0.909 0.035 0.779
F2 0.091 0.535 0.221
H1 0.656 0.750 0.467
F3 0.487 0.467 0.808
F4 0.218 0.750 0.006
F5 0.816 0.750 0.477
F6 0.594 0.250 0.576
F7 0.782 0.250 0.994
K1 0.181 0.750 0.673
F8 0.513 0.533 0.192
K2 0.757 0.750 0.004
H2 0.344 0.250 0.533
Ti1 0.303 0.750 0.214
F9 0.487 0.033 0.808
F10 0.091 0.965 0.221
F11 0.406 0.750 0.424
K3 0.243 0.250 0.996
F12 0.184 0.250 0.523
F13 0.909 0.465 0.779
K4 0.819 0.250 0.327
F14 0.513 0.967 0.192
Ti2 0.697 0.250 0.786

Computed properties:
V ... 345.63 Å³/cell
E_form ... -3.24 eV per atom

No. 2
Below is a geometry-optimized Li2MgZr2H4O4F12 structure, with properties calculated at the PBE-GGA level.

abc: 6.908 6.932 7.537
angles: 64.40 89.85 73.85
Positions (direct):
Li1 0.072 0.473 0.325
F1 0.043 0.793 0.082
Zr1 0.999 0.991 0.750
F2 0.957 0.207 0.918
F3 0.301 0.965 0.196
Zr2 0.001 0.009 0.250
O1 0.382 0.345 0.872
H1 0.248 0.451 0.862
O2 0.398 0.347 0.331
F4 0.178 0.972 0.515
F5 0.699 0.035 0.804
F6 0.965 0.341 0.188
F7 0.035 0.659 0.812
F8 0.708 0.029 0.168
F9 0.822 0.028 0.485
F10 0.062 0.671 0.446
O3 0.618 0.655 0.128
H2 0.464 0.439 0.798
H3 0.752 0.549 0.138
H4 0.536 0.561 0.202
F11 0.938 0.329 0.554
Mg1 0.500 0.000 0.000
F12 0.292 0.971 0.832
Li2 0.928 0.527 0.675
O4 0.602 0.653 0.669

Computed properties:
V ... 309.78 Å³/cell
E_form ... -2.69 eV per atom
Excess energy over the best structure of this formula in the dataset ... 0.000 eV per atom

No. 3
Below is a geometry-optimized LiPH4NO3F structure, with properties calculated at the PBE-GGA level.

abc: 5.071 5.526 14.528
angles: 89.86 90.00 90.00
Positions (direct):
P1 0.441 0.298 0.856
H1 0.275 0.298 0.597
O1 0.004 0.566 0.340
H2 0.909 0.355 0.124
O2 0.649 0.760 0.628
H3 0.980 0.274 0.017
O3 0.079 0.873 0.710
H4 0.480 0.726 0.483
F1 0.579 0.245 0.955
P2 0.941 0.702 0.644
O4 0.504 0.434 0.160
O5 0.851 0.760 0.128
H5 0.591 0.355 0.624
F2 0.079 0.755 0.545
H6 0.007 0.933 0.898
H7 0.091 0.645 0.876
Li1 0.945 0.185 0.755
O6 0.421 0.873 0.210
N1 0.970 0.752 0.915
O7 0.921 0.127 0.290
H8 0.993 0.067 0.102
F3 0.921 0.245 0.455
Li2 0.445 0.815 0.745
H9 0.507 0.067 0.602
P3 0.059 0.298 0.356
F4 0.421 0.755 0.045
H10 0.020 0.726 0.983
N2 0.470 0.248 0.585
H11 0.225 0.298 0.097
Li3 0.555 0.185 0.255
N3 0.530 0.752 0.415
Li4 0.055 0.815 0.245
O8 0.579 0.127 0.790
H12 0.775 0.702 0.903
O9 0.351 0.240 0.372
O10 0.149 0.240 0.872
O11 0.996 0.434 0.660
O12 0.496 0.566 0.840
H13 0.520 0.274 0.517
N4 0.030 0.248 0.085
H14 0.493 0.933 0.398
H15 0.409 0.645 0.376
H16 0.725 0.702 0.403
P4 0.559 0.702 0.144

Computed properties:
V ... 407.12 Å³/cell
E_form ... -1.77 eV per atom

No. 4
Below is a geometry-optimized Li3NbHO2F7 structure, with properties calculated at the PBE-GGA level.

abc: 6.564 13.002 14.252
angles: 90.00 90.00 90.00
Positions (direct):
O1 0.456 0.426 0.099
H1 0.500 0.250 0.384
Nb1 0.242 0.609 0.368
F1 0.478 0.338 0.384
O2 0.029 0.853 0.323
Li1 0.269 0.867 0.504
F2 0.713 0.482 0.517
Li2 0.769 0.633 0.004
O3 0.456 0.926 0.901
F3 0.818 0.802 0.758
F4 0.722 0.775 0.454
Li3 0.231 0.563 0.119
F5 0.461 0.337 0.900
F6 0.182 0.198 0.242
H2 0.500 0.750 0.616
F7 0.522 0.162 0.384
H3 0.000 0.750 0.116
O4 0.029 0.353 0.677
F8 0.778 0.275 0.046
F9 0.448 0.908 0.368
Li4 0.797 0.155 0.267
O5 0.956 0.574 0.401
F10 0.247 0.494 0.777
F11 0.978 0.162 0.884
F12 0.552 0.592 0.368
F13 0.713 0.982 0.483
F14 0.222 0.725 0.954
F15 0.253 0.494 0.277
Nb2 0.258 0.609 0.868
F16 0.022 0.338 0.884
F17 0.287 0.518 0.483
F18 0.961 0.663 0.600
Li5 0.269 0.563 0.619
Li6 0.731 0.437 0.381
Li7 0.297 0.845 0.233
O6 0.544 0.574 0.901
Nb3 0.758 0.391 0.632
H4 0.500 0.750 0.099
Nb4 0.742 0.891 0.868
Li8 0.231 0.867 0.004
O7 0.471 0.353 0.177
F19 0.948 0.092 0.132
Nb5 0.742 0.391 0.132
F20 0.039 0.837 0.600
O8 0.544 0.074 0.099
F21 0.213 0.518 0.983
Li9 0.731 0.633 0.504
Li10 0.231 0.367 0.996
F22 0.213 0.018 0.017
O9 0.971 0.647 0.323
Nb6 0.242 0.109 0.632
F23 0.753 0.006 0.777
F24 0.978 0.662 0.116
Nb7 0.258 0.109 0.132
F25 0.778 0.775 0.954
F26 0.682 0.302 0.742
O10 0.529 0.147 0.177
F27 0.022 0.838 0.116
O11 0.971 0.147 0.677
H5 0.000 0.750 0.599
O12 0.471 0.853 0.823
F28 0.278 0.725 0.454
F29 0.052 0.908 0.868
F30 0.539 0.663 0.100
F31 0.318 0.698 0.258
F32 0.722 0.275 0.546
Li11 0.769 0.437 0.881
F33 0.818 0.302 0.242
F34 0.448 0.408 0.632
F35 0.247 0.994 0.223
Li12 0.797 0.655 0.733
F36 0.182 0.698 0.758
H6 0.000 0.250 0.401
Li13 0.731 0.133 0.496
Nb8 0.758 0.891 0.368
O13 0.956 0.074 0.599
F37 0.461 0.837 0.100
H7 0.500 0.250 0.901
F38 0.478 0.838 0.616
O14 0.044 0.926 0.401
F39 0.787 0.982 0.983
Li14 0.231 0.063 0.881
F40 0.948 0.592 0.868
F41 0.682 0.802 0.258
Li15 0.703 0.655 0.233
O15 0.044 0.426 0.599
F42 0.052 0.408 0.132
F43 0.787 0.482 0.017
F44 0.253 0.994 0.723
F45 0.278 0.225 0.546
F46 0.747 0.006 0.277
H8 0.000 0.250 0.884
F47 0.747 0.506 0.723
F48 0.961 0.163 0.400
F49 0.287 0.018 0.517
F50 0.039 0.337 0.400
Li16 0.769 0.133 0.996
Li17 0.769 0.937 0.119
Li18 0.203 0.345 0.267
Li19 0.731 0.937 0.619
Li20 0.297 0.345 0.767
Li21 0.269 0.367 0.496
F51 0.753 0.506 0.223
O16 0.529 0.647 0.823
Li22 0.269 0.063 0.381
Li23 0.203 0.845 0.733
F52 0.522 0.662 0.616
F53 0.552 0.092 0.632
F54 0.539 0.163 0.900
F55 0.318 0.198 0.742
Li24 0.703 0.155 0.767
F56 0.222 0.225 0.046

Computed properties:
V ... 1216.28 Å³/cell
E_form ... -2.72 eV per atom

No. 5
Below is a geometry-optimized MgH8N2F4 structure, with properties calculated at the PBE-GGA level.

abc: 5.770 5.886 13.844
angles: 88.69 90.00 90.00
Positions (direct):
H1 0.036 0.178 0.364
F1 0.743 0.741 0.511
F2 0.977 0.000 0.857
H2 0.576 0.101 0.121
H3 0.964 0.822 0.636
H4 0.568 0.635 0.625
H5 0.536 0.822 0.136
H6 0.076 0.899 0.379
N1 0.491 0.496 0.659
H7 0.486 0.011 0.765
F3 0.479 0.494 0.146
H8 0.564 0.354 0.630
F4 0.979 0.506 0.354
F5 0.258 0.756 0.986
H9 0.990 0.499 0.234
F6 0.757 0.741 0.011
H10 0.932 0.635 0.125
H11 0.424 0.899 0.879
H12 0.692 0.003 0.853
N2 0.487 0.979 0.160
H13 0.314 0.495 0.643
F7 0.523 0.000 0.357
F8 0.257 0.259 0.489
H14 0.186 0.495 0.143
H15 0.510 0.499 0.734
H16 0.514 0.989 0.235
F9 0.477 0.000 0.643
H17 0.192 0.997 0.647
F10 0.742 0.244 0.014
N3 0.013 0.979 0.660
F11 0.023 0.000 0.143
Mg1 0.500 0.000 0.500
H18 0.808 0.003 0.353
H19 0.010 0.501 0.766
Mg2 0.500 0.500 0.000
Mg3 0.000 0.500 0.500
H20 0.814 0.505 0.857
N4 0.513 0.021 0.840
H21 0.464 0.178 0.864
H22 0.490 0.501 0.266
H23 0.064 0.646 0.870
N5 0.009 0.496 0.159
N6 0.991 0.504 0.841
F12 0.242 0.756 0.486
F13 0.521 0.506 0.854
H24 0.436 0.646 0.370
F14 0.243 0.259 0.989
H25 0.924 0.101 0.621
H26 0.432 0.365 0.375
H27 0.986 0.989 0.735
H28 0.936 0.354 0.130
H29 0.686 0.505 0.357
N7 0.509 0.504 0.341
F15 0.758 0.244 0.514
H30 0.308 0.997 0.147
F16 0.021 0.494 0.646
Mg4 0.000 0.000 0.000
H31 0.068 0.365 0.875
N8 0.987 0.021 0.340
H32 0.014 0.011 0.265

Computed properties:
V ... 470.08 Å³/cell
E_form ... -1.54 eV per atom

No. 6
Below is a geometry-optimized NaMgH4SO6F structure, with properties calculated at the PBE-GGA level.

abc: 7.265 5.753 7.272
angles: 67.55 90.00 90.00
Positions (direct):
H1 0.595 0.705 0.367
H2 0.568 0.429 0.699
H3 0.068 0.571 0.301
H4 0.432 0.571 0.301
S1 0.250 0.145 0.309
H5 0.905 0.705 0.367
O1 0.750 0.664 0.592
O2 0.955 0.672 0.253
H6 0.405 0.295 0.633
O3 0.250 0.336 0.408
O4 0.750 0.111 0.541
O5 0.455 0.328 0.747
Mg1 0.000 0.000 0.000
F1 0.750 0.118 0.021
Na1 0.250 0.635 0.801
O6 0.045 0.328 0.747
Na2 0.750 0.365 0.199
S2 0.750 0.855 0.691
O7 0.583 0.803 0.821
O8 0.917 0.803 0.821
O9 0.545 0.672 0.253
H7 0.095 0.295 0.633
H8 0.932 0.429 0.699
O10 0.250 0.889 0.459
O11 0.083 0.197 0.179
F2 0.250 0.882 0.979
O12 0.417 0.197 0.179
Mg2 0.500 0.000 0.000

Computed properties:
V ... 280.90 Å³/cell
E_form ... -2.03 eV per atom

In the order shown, the computed magnetic moment values come out to 0.01; 4.00; 0.00; 0.00; 0.00; 0.00 μB per formula unit.
In the order shown, the computed final energy values come out to -5.392; -5.511; -5.720; -5.500; -4.955; -5.434 eV per atom.